A relaxed CaCo2O4 crystal, computed with PBE with a Hubbard U.

E above lowest polymorph: 0 meV per atom
energy of formation from the pure elements: -1.89 eV/atom

Unit cell a=2.930 b=8.801 c=10.320 alpha=90.00 beta=90.00 gamma=90.00
Element x y z (fractional)
O (0.750, 0.532, 0.788)
Co (0.750, 0.943, 0.888)
O (0.250, 0.468, 0.212)
Ca (0.250, 0.239, 0.336)
O (0.750, 0.698, 0.344)
O (0.750, 0.115, 0.477)
O (0.750, 0.615, 0.023)
O (0.250, 0.579, 0.572)
Ca (0.750, 0.261, 0.836)
O (0.250, 0.802, 0.844)
O (0.750, 0.421, 0.428)
O (0.250, 0.079, 0.928)
O (0.250, 0.385, 0.977)
Co (0.250, 0.584, 0.902)
Ca (0.750, 0.761, 0.664)
O (0.250, 0.885, 0.523)
Co (0.750, 0.443, 0.612)
Co (0.250, 0.557, 0.388)
Co (0.250, 0.057, 0.112)
O (0.750, 0.921, 0.072)
O (0.750, 0.198, 0.156)
Co (0.750, 0.416, 0.098)
Ca (0.250, 0.739, 0.164)
Co (0.750, 0.916, 0.402)
O (0.750, 0.032, 0.712)
Co (0.250, 0.084, 0.598)
O (0.250, 0.302, 0.656)
O (0.250, 0.968, 0.288)

---

A relaxed Ca3Co2O7 crystal, computed with PBE with a Hubbard U.

E above lowest polymorph: 0 meV per atom
energy of formation from the pure elements: -2.22 eV/atom

Unit cell a=10.008 b=10.008 c=5.308 alpha=90.00 beta=90.00 gamma=149.54
Element x y z (fractional)
O (0.652, 0.429, 0.961)
Co (0.152, 0.347, 0.752)
O (0.126, 0.960, 0.044)
Ca (0.942, 0.569, 0.711)
O (0.040, 0.874, 0.544)
O (0.571, 0.348, 0.461)
O (0.675, 0.675, 0.236)
Ca (0.431, 0.058, 0.211)
Ca (0.569, 0.942, 0.711)
O (0.603, 0.993, 0.257)
Ca (0.243, 0.243, 0.295)
O (0.960, 0.126, 0.044)
Co (0.848, 0.653, 0.252)
O (0.007, 0.397, 0.757)
O (0.325, 0.325, 0.736)
O (0.397, 0.007, 0.757)
Ca (0.058, 0.431, 0.211)
O (0.348, 0.571, 0.461)
Ca (0.757, 0.757, 0.795)
O (0.874, 0.040, 0.544)
Co (0.653, 0.848, 0.252)
O (0.429, 0.652, 0.961)
O (0.993, 0.603, 0.257)
Co (0.347, 0.152, 0.752)

---

- The lowest energy of formation from the pure elements belongs to which entry?
  Ca3Co2O7